# 1
A relaxed structure of GaSi4H30C10Cl. Source: the Materials Project, functional PBE-GGA.

Output
- space-group type = P2_1/c
- total magnetic moment (μB per cell) = 0.0
- electronic total energy (eV for the cell shown) = -922.919
- calculated formation energy (eV per atom) = -0.233
- mass density (g/cm3) = 1.147

The structure in extended XYZ format:
```
184
Lattice="-1.8894 -12.2995 -7.2978 7.1995 -3.7851 4.5154 -9.7058 -5.2776 11.4075" Properties=species:S:1:pos:R:3 pbc="T T T"
H -4.9732 -12.1886 0.0409
H 1.0899 -5.2712 7.0186
H -0.4138 -9.9174 7.3012
H 0.1534 -3.8329 5.2474
Si -5.7702 -13.4880 5.3231
H 0.8718 -9.9047 -3.3232
Si -2.9642 -11.3855 10.9718
H -5.2293 -12.2317 10.3439
H -3.7869 -18.4558 4.6909
H -4.6932 -7.9566 3.6506
H -4.7110 -5.9596 9.3589
C 2.6567 -6.5087 3.5445
C -1.6206 -6.8966 7.9219
H -1.3755 -6.8583 8.9955
H -4.5491 -17.5293 3.3778
Si -0.5896 -7.4004 4.5791
Cl -0.9889 -1.2621 0.6371
Si -2.9305 -16.1086 4.6651
C -5.8479 -7.5928 6.7901
Si -8.9208 -7.3556 8.4946
H 1.5030 -6.3034 8.4090
H 3.0494 -9.7198 3.2390
H 0.2411 -11.7651 5.6740
H -1.7377 -8.7423 -0.1958
H -2.4523 -15.4733 1.0069
H -5.2674 -11.4574 11.9484
H -1.6206 -16.5696 2.5798
H -7.2889 -6.5047 12.6841
C -7.6963 -10.6441 8.6369
H -5.0956 -17.3105 5.0567
H -6.6667 -10.2695 8.5420
H 1.7855 -15.6325 -1.7123
C -3.6296 -16.4021 10.2043
H 0.4566 -14.1817 2.0732
H -10.3327 -12.4936 6.6637
H -0.2794 -8.5539 10.8550
C -1.9733 -5.2479 2.1468
H -3.7155 -15.4039 9.7457
H -1.8890 -13.5023 10.1602
H -6.6272 -14.7399 1.8080
H -5.8986 -15.0588 0.2161
H 2.4586 -9.4649 4.8953
C 2.1503 -9.5051 3.8403
H -4.9063 -14.3246 7.5205
H 2.9694 -6.4339 4.5960
Ga -2.0479 -12.3989 4.6486
C -5.7069 -6.3750 9.5864
H 0.2128 -8.2611 -3.1405
H 0.5106 -7.0376 1.1047
C -7.0523 -14.8535 5.0807
H 1.4840 -16.9990 1.6152
H 1.1563 -3.3231 0.5638
C 0.3777 -9.1830 7.5002
H -3.2725 -15.8773 7.1303
H -0.6801 -5.9583 -1.1206
Si -4.2707 -13.8998 1.7054
Si 4.5252 -14.0065 0.1306
H -2.0436 -17.1087 6.7666
C -5.7041 -15.0580 1.3021
H 2.2711 -11.0927 0.0831
H 0.3154 -15.4025 -0.7338
H 1.7774 -4.9889 0.4171
H -5.5580 -7.3722 10.0259
H -2.1401 -12.1318 -1.2974
Si 4.3728 -11.9117 -1.0038
C -2.7750 -14.4656 0.7033
C -6.8804 -4.7525 7.2630
H -6.8542 -11.8973 3.7298
Si -1.4651 -5.2536 3.9600
H -5.4855 -16.0910 1.6066
C 0.2797 -9.2474 -2.6681
Si -1.4315 -9.9766 -2.3466
H -2.4705 -7.5822 7.7928
H -7.4451 -11.6423 5.3861
H 2.2636 -5.5282 3.2404
Si 2.3533 -14.8845 0.6056
C -4.6754 -12.1148 11.2932
H -2.7683 -5.9848 1.9577
H -3.9819 -11.4448 1.3239
H -7.9532 -14.6493 5.6846
H 2.8932 -14.8575 -4.0589
H -7.3651 -14.9283 4.0292
H -3.7940 -9.0353 10.7978
H -2.2556 -9.2304 9.9226
H -2.5066 -7.8599 -1.5351
H 1.4487 -10.3400 3.7132
H -3.7655 -9.8285 9.2007
H 1.3063 -12.7585 1.4278
H 2.5517 -12.4632 -2.6226
H 4.2691 -3.8933 2.1727
C -2.4223 -16.1143 6.4783
C -0.7660 -4.9601 -1.5791
H -6.1812 -5.7297 10.3375
C -0.1831 -3.8885 4.2033
C 3.3007 -10.7181 -0.0117
H -3.9119 -8.2275 2.0701
C 1.3084 -6.3042 7.3231
Ga -1.4054 -11.8432 -5.6717
H 1.2960 -9.5157 6.9930
H -1.4165 -4.3478 -0.9381
H -4.6084 -13.1011 11.7657
H -1.9433 -5.8888 7.6183
C 2.4848 -16.6096 1.3621
C -1.3983 -16.5445 3.6523
H -0.1489 -7.8326 12.4796
H 0.2603 -8.7955 1.2582
H -4.4124 -7.8590 12.9388
H -8.0977 -10.8014 7.6261
H -0.6087 -2.9064 3.9343
Si 1.3746 -7.8741 3.3021
C -4.0775 -8.6619 3.0672
H -3.3804 -3.8220 4.6836
C 1.3113 -14.9872 -0.9612
H 0.8337 -9.1305 -1.7187
H -1.0899 -12.0767 9.4569
H -8.6647 -17.4688 6.4524
H -4.6368 -9.5970 2.9511
H 3.5576 -6.7128 2.9406
H 3.7020 -10.5607 0.9990
C 1.7302 -4.0048 -0.0775
H -0.4837 -13.1347 6.5550
H 1.1624 -13.9900 -1.4007
H -1.0152 -17.5402 3.9416
Ga -2.9902 -9.5189 14.2968
H -6.1731 -16.3733 8.2080
C -3.2159 -9.7105 10.1491
Si -6.7490 -6.4777 8.0195
H -3.8027 -5.5490 4.8040
H 3.2568 -9.7375 -0.5154
Cl -2.9553 -10.4370 5.8434
C -4.7734 -12.1792 1.1250
Ga -2.3478 -8.9632 3.9765
H -0.5929 -15.8132 3.8211
H 0.2975 -13.4055 4.9745
H -4.6559 -12.5666 7.3669
C -0.3182 -12.7003 5.5580
Cl -1.4403 -10.9252 2.7818
H -5.8443 -11.0221 4.9120
C -2.0632 -12.5013 9.7431
C -5.3582 -13.3870 7.1631
H -6.4062 -7.6877 5.8479
H -5.6916 -11.8465 1.6322
H -2.6579 -12.6199 8.8209
H -6.9474 -8.8990 11.2477
Si -8.7684 -9.4504 9.6290
H -0.6301 -11.5336 -0.5755
H 5.9370 -8.8685 1.9615
H -5.7019 -8.6037 7.1974
C -4.2125 -17.4737 4.4218
H -1.1231 -5.4849 1.4949
H -6.2712 -13.2051 7.7552
C -2.9974 -4.8177 4.9728
Cl -3.4067 -20.1000 7.9880
C -4.6074 -8.4850 13.8222
C -2.3324 -8.8609 -1.1179
H -4.8523 -7.1805 6.5520
C -6.5460 -11.8571 4.7848
H -2.9791 -17.0144 9.5632
H -2.3520 -4.2534 1.8585
H -3.3057 -9.2854 -0.8317
H 0.5775 -9.1736 8.5842
C 1.4523 -13.7693 1.8351
H -4.1163 -12.8082 -2.2299
C 0.9626 -7.9752 1.4621
C -6.1259 -17.3573 8.7026
H -7.6525 -11.6247 9.1406
H -0.6016 -12.3269 -2.1726
C 0.2117 -12.8772 -5.1970
H 0.6999 -4.0516 3.5684
Si -0.1250 -7.4623 6.9198
H -2.7750 -4.7926 6.0453
H -4.2468 -13.5295 -3.8544
H -3.0202 -14.5039 -0.3703
H -5.5519 -18.0390 8.0614
H -1.6273 -15.3773 6.6675
H 2.0106 -13.6744 2.7772
H -5.8797 -4.3631 7.0099
H 0.0167 -13.5031 -4.3136
Si -3.8060 -13.9617 4.0460
H 2.2316 -6.6223 6.8172
H 1.8756 -8.1571 0.8700
C -1.1797 -11.6517 -1.5239
H -1.9252 -13.7799 0.8323
H -6.6592 -15.8339 5.3847
```


# 2
A relaxed structure of Gd2CCl2. Source: the Materials Project, functional PBE-GGA.

Output
- space-group type = P-3m1
- electronic total energy (eV for the cell shown) = -48.425
- calculated formation energy (eV per atom) = -1.715
- mass density (g/cm3) = 5.657

The structure in extended XYZ format:
```
5
Lattice="-1.3062 -0.1494 -3.5395 0.7222 -3.1925 1.8822 -8.8624 -0.0748 3.2737" Properties=species:S:1:pos:R:3 pbc="T T T"
Gd -6.3518 -1.2121 0.3813
Cl -7.3207 -2.2403 2.7962
C -4.4312 -0.0374 1.6369
Cl -2.1257 -1.1764 -1.1798
Gd -3.0946 -2.2047 1.2351
```


# 3
A relaxed structure of Gd2CCl. Source: the Materials Project, functional PBE-GGA.

Output
- space-group type = R-3m
- electronic total energy (eV for the cell shown) = -43.551
- calculated formation energy (eV per atom) = -1.234
- mass density (g/cm3) = 7.370

The structure in extended XYZ format:
```
4
Lattice="-0.2034 -0.1177 -3.6917 -3.2897 -0.3146 -1.6620 -1.7252 6.7127 -1.9723" Properties=species:S:1:pos:R:3 pbc="T T T"
C -2.6092 3.1402 -3.6630
Gd -3.8799 4.2962 -5.4831
Cl 0.0000 0.0000 0.0000
Gd -1.3384 1.9842 -1.8428
```


# 4
A relaxed structure of Gd4C2Cl3. Source: the Materials Project, functional PBE-GGA.

Output
- space-group type = Pnma
- total magnetic moment (μB per cell) = 114.5
- electronic total energy (eV for the cell shown) = -368.637
- calculated formation energy (eV per atom) = -1.522
- mass density (g/cm3) = 6.378

The structure in extended XYZ format:
```
36
Lattice="1.2402 2.8566 -2.0108 1.8835 -6.5941 -8.2063 -18.4664 3.2152 -6.8220" Properties=species:S:1:pos:R:3 pbc="T T T"
Cl 0.9962 -4.9671 -8.1506
Cl -1.4797 1.6851 -3.6442
Gd -14.9070 2.5881 -7.2261
Cl -6.3741 -3.6360 -10.8055
Gd -10.7645 -1.2662 -10.1468
C -11.7534 0.5203 -11.6355
C -2.6178 -4.3448 -9.4956
Gd -8.0179 -1.6927 -12.4756
Gd -12.3557 2.1872 -9.6390
Gd 0.1783 -3.2689 -6.2426
Gd -4.5782 0.7440 -6.8922
Gd -13.9151 -0.5705 -11.1015
Cl -10.9184 0.4130 -7.8560
Gd -11.1781 -1.1509 -13.6550
C -14.6779 1.0455 -9.2762
C -12.7250 3.8226 -7.5434
C -5.2524 2.3641 -5.0065
Cl -16.3389 4.4449 -8.8884
Cl 0.1341 -1.6361 -3.9501
C -3.5894 -1.0425 -5.4035
Gd -4.1646 0.6287 -3.3840
Gd -0.4357 -3.1103 -9.8129
Gd -2.9870 -2.7094 -7.4000
Gd -1.4276 0.0483 -5.9375
Cl -4.4243 -0.9352 -9.1830
Cl -8.1352 -0.1165 -10.3088
Cl -8.9686 3.1138 -6.2335
Gd -7.3249 1.1705 -4.5634
Gd -3.4978 -2.7244 -11.1533
Cl -13.8630 -2.2073 -13.3948
Gd -15.5210 2.7467 -10.7964
Cl -7.2075 -0.4057 -6.7302
C -0.6648 -1.5677 -7.7628
Cl -15.4768 1.1139 -13.0889
C -10.0903 -2.8863 -12.0325
Gd -11.8450 2.2022 -5.8857
```


# 5
A relaxed structure of GeC4NCl3. Source: the Materials Project, functional PBE-GGA.

Output
- space-group type = Pnma
- total magnetic moment (μB per cell) = 0.0
- electronic total energy (eV for the cell shown) = -193.574
- calculated formation energy (eV per atom) = 0.576
- mass density (g/cm3) = 1.634
- energy above the most stable polymorph in this dataset (eV/atom) = 0.000

The structure in extended XYZ format:
```
36
Lattice="0.0000 7.9559 0.0000 0.0000 0.0000 8.1290 15.1475 0.0000 0.0000" Properties=species:S:1:pos:R:3 pbc="T T T"
N 8.3048 5.7737 6.0967
Ge 11.8505 1.9604 6.0967
C 13.6735 4.9448 5.4200
C 13.3879 1.1850 2.0322
N 6.8427 2.1822 2.0322
Cl 3.0969 4.3451 3.8697
Cl 8.6681 5.3733 2.0322
C 5.8141 2.7930 2.0322
Cl 10.6707 7.5888 3.8697
N 14.4164 1.7958 2.0322
Cl 3.0969 4.3451 0.1948
C 1.7597 6.7709 6.0967
C 13.6735 4.9448 6.7734
Cl 6.4794 2.5826 6.0967
Cl 12.0506 3.6108 4.2592
Cl 1.0944 6.5606 2.0322
N 0.7311 6.1601 6.0967
C 6.0997 6.9891 6.7734
Ge 4.2768 2.0176 6.0967
Ge 3.2970 5.9955 2.0322
Cl 4.4768 0.3671 7.9342
Cl 14.0531 1.3953 6.0967
C 7.1609 6.4191 6.0967
C 6.0997 6.9891 5.4200
C 14.7347 5.5148 6.0967
C 9.0478 0.9668 1.3556
Cl 12.0506 3.6108 7.9342
C 1.4740 3.0112 2.7089
C 1.4740 3.0112 1.3556
Cl 4.4768 0.3671 4.2592
Cl 10.6707 7.5888 0.1948
C 9.0478 0.9668 2.7089
C 9.3334 5.1630 6.0967
Ge 10.8707 5.9383 2.0322
C 0.4128 2.4411 2.0322
C 7.9866 1.5369 2.0322
```


# 6
A relaxed structure of GeC4NCl3. Source: the Materials Project, functional PBE-GGA.

Output
- space-group type = Pna2_1
- total magnetic moment (μB per cell) = 4.9
- electronic total energy (eV for the cell shown) = -179.342
- calculated formation energy (eV per atom) = 0.971
- mass density (g/cm3) = 1.919
- energy above the most stable polymorph in this dataset (eV/atom) = 0.395

The structure in extended XYZ format:
```
36
Lattice="0.0000 8.1235 0.0000 0.0000 0.0000 8.5001 12.0851 0.0000 0.0000" Properties=species:S:1:pos:R:3 pbc="T T T"
Cl 11.3626 2.7446 6.1864
C 0.6727 5.5146 5.8411
Cl 8.8826 4.5694 0.1610
N 0.3547 6.3256 7.0424
C 11.8038 0.8197 1.6658
C 6.3239 4.8815 5.9159
Cl 6.7651 6.8064 1.9363
C 11.6971 6.2535 5.0832
Ge 9.3644 1.8157 6.1556
Cl 3.2025 3.5540 4.4111
Cl 5.3200 1.3171 6.1864
N 11.7304 1.7978 2.7923
Ge 8.7633 5.8775 1.9055
C 11.1105 6.0659 6.4476
C 6.7153 6.6706 5.8411
Ge 2.7207 6.3077 1.9055
Cl 9.2451 0.5077 4.4111
Cl 9.2301 0.5719 7.9669
Cl 3.1875 3.4898 7.9669
Cl 2.8550 7.5516 3.7168
C 0.9746 2.0575 2.1975
C 0.2814 7.3037 5.9159
C 5.6546 5.9317 5.0832
C 5.7612 3.2420 1.6658
C 0.3880 1.8699 0.8332
Cl 2.8401 7.6158 0.1610
C 7.0172 2.0042 2.1975
C 6.4305 2.1918 0.8332
Cl 0.7225 5.3788 1.9363
N 5.6878 2.2639 2.7923
N 6.3973 5.8596 7.0424
Ge 3.3218 2.2460 6.1556
Cl 8.8976 4.6336 3.7168
C 5.0679 6.1192 6.4476
C 11.4124 2.6089 1.5911
C 5.3698 1.4528 1.5911
```


# 7
A relaxed structure of GeC4NCl3. Source: the Materials Project, functional PBE-GGA.

Output
- space-group type = Pnma
- total magnetic moment (μB per cell) = 4.0
- electronic total energy (eV for the cell shown) = -180.420
- calculated formation energy (eV per atom) = 0.941
- mass density (g/cm3) = 1.901
- energy above the most stable polymorph in this dataset (eV/atom) = 0.365

The structure in extended XYZ format:
```
36
Lattice="8.3335 0.0000 0.0000 0.0000 8.8597 0.0000 0.0000 0.0000 11.4084" Properties=species:S:1:pos:R:3 pbc="T T T"
Cl 7.0305 2.2149 10.7465
C 2.6023 2.2149 6.4169
N 6.3436 6.6447 0.9192
Cl 0.5896 4.8573 8.4174
C 1.5644 2.2149 0.7126
Cl 7.7439 4.0024 2.9910
C 5.0285 6.6447 11.2786
Ge 6.4758 2.2149 3.0873
Cl 3.5772 4.8573 2.7132
C 3.3050 2.2149 0.1298
Ge 2.3091 6.6447 2.6169
C 1.8455 3.3311 5.8007
C 7.4717 6.6447 5.5744
C 0.8618 2.2149 5.8340
C 1.8455 1.0987 5.8007
Ge 6.0244 2.2149 8.7915
Cl 0.5896 8.4322 8.4174
C 6.7691 6.6447 10.6958
Cl 3.5772 8.4322 2.7132
C 2.3213 1.0987 0.0965
C 2.3213 3.3311 0.0965
Cl 4.7563 0.4274 8.6952
C 5.7312 6.6447 4.9916
N 6.1566 6.6447 6.6235
Cl 4.7563 4.0024 8.6952
N 2.1769 2.2149 4.7850
Cl 5.4697 2.2149 5.0423
Ge 1.8577 6.6447 8.3211
C 6.4880 7.7609 5.6077
C 6.0122 5.5286 11.3119
Cl 7.7439 0.4274 2.9910
C 6.4880 5.5286 5.6077
N 1.9898 2.2149 10.4892
Cl 2.8638 6.6447 6.3661
Cl 1.3030 6.6447 0.6619
C 6.0122 7.7609 11.3119
```